A relaxed Na6Mg7ZrS12O48 crystal, computed with GGA-PBE.

The structure in POSCAR format:
```
Na6Mg7ZrS12O48
1.0
-12.195 -7.769 -9.805
8.218 0.521 -2.878
4.734 -19.873 9.884
O S Na Mg Zr
144 36 18 21 3
Direct
0.772 0.852 0.470 O
0.229 0.310 0.030 O
0.098 0.175 0.089 O
0.579 0.685 0.756 O
0.988 0.785 0.806 O
0.226 0.141 0.528 O
0.245 0.139 0.923 O
0.846 0.543 0.530 O
0.087 0.189 0.411 O
0.561 0.642 0.362 O
0.561 0.480 0.864 O
0.764 0.840 0.756 O
0.073 0.455 0.970 O
0.656 0.450 0.472 O
0.178 0.476 0.363 O
0.158 0.475 0.756 O
0.272 0.854 0.470 O
0.156 0.839 0.255 O
0.580 0.472 0.255 O
0.912 0.019 0.089 O
0.920 0.527 0.745 O
0.238 0.318 0.745 O
0.011 0.209 0.198 O
0.764 0.688 0.255 O
0.742 0.358 0.134 O
0.176 0.859 0.578 O
0.726 0.147 0.528 O
0.937 0.516 0.134 O
0.658 0.475 0.755 O
0.431 0.352 0.923 O
0.678 0.495 0.078 O
0.907 0.023 0.804 O
0.098 0.021 0.589 O
0.512 0.812 0.696 O
0.737 0.313 0.745 O
0.588 0.190 0.412 O
0.406 0.787 0.304 O
0.759 0.640 0.865 O
0.931 0.359 0.922 O
0.402 0.981 0.411 O
0.344 0.149 0.030 O
0.823 0.506 0.922 O
0.592 0.979 0.200 O
0.076 0.696 0.469 O
0.395 0.813 0.198 O
0.990 0.803 0.088 O
0.575 0.698 0.468 O
0.746 0.144 0.921 O
0.263 0.836 0.756 O
0.576 0.454 0.969 O
0.677 0.861 0.577 O
0.151 0.848 0.969 O
0.321 0.139 0.423 O
0.595 0.212 0.696 O
0.656 0.857 0.970 O
0.512 0.830 0.410 O
0.241 0.358 0.137 O
0.344 0.540 0.533 O
0.907 0.788 0.304 O
0.821 0.137 0.423 O
0.920 0.314 0.244 O
0.742 0.126 0.634 O
0.905 0.823 0.911 O
0.569 0.644 0.078 O
0.264 0.688 0.255 O
0.092 0.978 0.200 O
0.321 0.123 0.137 O
0.013 0.830 0.411 O
0.895 0.814 0.198 O
0.419 0.528 0.744 O
0.599 0.176 0.089 O
0.679 0.879 0.863 O
0.573 0.492 0.577 O
0.488 0.188 0.304 O
0.513 0.195 0.911 O
0.271 0.690 0.967 O
0.321 0.525 0.640 O
0.061 0.485 0.864 O
0.403 0.826 0.911 O
0.607 0.024 0.306 O
0.727 0.312 0.028 O
0.746 0.347 0.422 O
0.844 0.527 0.244 O
0.896 0.978 0.698 O
0.439 0.518 0.137 O
0.011 0.817 0.700 O
0.598 0.025 0.589 O
0.846 0.145 0.030 O
0.773 0.693 0.970 O
0.752 0.860 0.078 O
0.069 0.495 0.578 O
0.393 0.970 0.698 O
0.442 0.358 0.636 O
0.258 0.879 0.364 O
0.178 0.494 0.078 O
0.070 0.645 0.077 O
0.678 0.481 0.366 O
0.938 0.360 0.637 O
0.405 0.026 0.803 O
0.758 0.877 0.364 O
0.844 0.160 0.745 O
0.426 0.543 0.030 O
0.080 0.688 0.756 O
0.178 0.880 0.863 O
0.253 0.646 0.579 O
0.241 0.126 0.635 O
0.912 0.804 0.589 O
0.428 0.309 0.530 O
0.927 0.309 0.530 O
0.493 0.175 0.588 O
0.080 0.473 0.255 O
0.085 0.976 0.911 O
0.009 0.195 0.911 O
0.323 0.506 0.921 O
0.588 0.985 0.911 O
0.490 0.804 0.089 O
0.736 0.160 0.245 O
0.236 0.160 0.245 O
0.656 0.840 0.255 O
0.820 0.516 0.636 O
0.821 0.122 0.137 O
0.343 0.526 0.244 O
0.341 0.157 0.743 O
0.485 0.787 0.802 O
0.106 0.188 0.803 O
0.094 0.212 0.698 O
0.108 0.023 0.306 O
0.253 0.862 0.077 O
0.988 0.188 0.304 O
0.431 0.510 0.422 O
0.263 0.642 0.860 O
0.752 0.640 0.577 O
0.246 0.347 0.422 O
0.420 0.314 0.244 O
0.931 0.509 0.423 O
0.511 0.209 0.198 O
0.413 0.806 0.589 O
0.989 0.176 0.590 O
0.061 0.642 0.363 O
0.902 0.980 0.411 O
0.154 0.452 0.470 O
0.606 0.190 0.804 O
0.929 0.547 0.027 O
0.412 0.021 0.089 O
0.314 0.666 0.915 S
0.501 0.706 0.750 S
0.814 0.669 0.917 S
0.000 0.701 0.753 S
0.667 0.960 0.916 S
0.851 0.702 0.252 S
0.150 0.298 0.752 S
0.329 0.041 0.083 S
0.191 0.341 0.083 S
0.648 0.296 0.750 S
0.667 0.372 0.418 S
0.829 0.038 0.084 S
0.481 0.333 0.583 S
0.519 0.373 0.917 S
0.690 0.341 0.082 S
0.650 0.001 0.253 S
0.831 0.620 0.582 S
0.687 0.038 0.583 S
0.352 0.002 0.750 S
0.167 0.962 0.917 S
0.519 0.666 0.415 S
0.852 0.000 0.753 S
0.000 0.298 0.252 S
0.480 0.618 0.083 S
0.020 0.665 0.417 S
0.351 0.701 0.252 S
0.167 0.372 0.417 S
0.020 0.373 0.917 S
0.500 0.298 0.252 S
0.813 0.958 0.417 S
0.314 0.960 0.417 S
0.190 0.039 0.582 S
0.980 0.342 0.583 S
0.980 0.620 0.082 S
0.150 0.001 0.253 S
0.333 0.628 0.585 S
0.167 0.029 0.417 Na
0.841 0.346 0.333 Na
0.649 0.329 0.584 Na
0.322 0.644 0.750 Na
0.830 0.316 0.829 Na
0.666 0.666 0.167 Na
0.490 0.984 0.993 Na
0.340 0.346 0.333 Na
0.484 0.981 0.501 Na
0.661 0.674 0.670 Na
0.666 0.028 0.417 Na
0.338 0.325 0.836 Na
0.168 0.667 0.167 Na
0.995 0.002 0.494 Na
0.987 0.667 0.917 Na
0.666 0.303 0.915 Na
0.003 0.018 0.996 Na
0.166 0.673 0.663 Na
0.168 0.673 0.818 Mg
0.338 0.344 0.483 Mg
0.833 0.333 0.185 Mg
0.838 0.337 0.481 Mg
0.667 0.663 0.316 Mg
0.333 0.333 0.184 Mg
0.338 0.332 0.682 Mg
0.664 0.664 0.815 Mg
0.665 0.669 0.017 Mg
0.497 0.994 0.650 Mg
0.665 0.671 0.516 Mg
0.831 0.329 0.685 Mg
0.497 0.996 0.850 Mg
0.996 0.999 0.351 Mg
0.169 0.663 0.517 Mg
0.833 0.324 0.983 Mg
0.169 0.667 0.017 Mg
0.333 0.336 0.981 Mg
0.167 0.664 0.317 Mg
0.001 0.008 0.851 Mg
0.496 0.999 0.352 Mg
0.001 0.000 0.148 Zr
0.001 0.001 0.648 Zr
0.500 0.000 0.147 Zr
```

Properties
**Energy relative to the elements**: -2.3640 eV/atom
**Calculated volume**: 2997 Å³ per cell
**Space group**: P1